Entry from Materials Project: crystalline CdH2SeO5 at its relaxed geometry (PBE).

Cell: 7.926 7.818 8.569 Å, 90.00 122.62 90.00°
Space group P2_1/c (No. 14)
Asymmetric unit:
Cd1 0.211 0.237 0.454 x4
H1 0.203 0.506 0.689 x4
H2 0.418 0.076 0.301 x4
Se1 0.263 0.617 0.247 x4
O1 0.109 0.723 0.612 x4
O2 0.118 0.010 0.783 x4
O3 0.273 0.107 0.233 x4
O4 0.347 0.509 0.130 x4
O5 0.457 0.698 0.440 x4

## Properties
Energy with MP2020 corrections   -5.304 eV per atom
Energy   -177.2 eV/cell
M_tot   0.000 μB per atom
Formation enthalpy at 0 K   -1310 meV/atom

Entry from Materials Project: crystalline Na2La2Ti3O10 at its relaxed geometry (PBE).

Cell: 3.871 3.871 28.878 Å, 90.00 90.00 90.00°
Space group I4/mmm (No. 139)
Asymmetric unit:
Na1 0.000 0.000 0.212 x4
La1 0.000 0.000 0.075 x4
Ti1 0.000 0.000 0.352 x4
Ti2 0.000 0.000 0.500 x2
O1 0.000 0.000 0.291 x4
O2 0.000 0.000 0.433 x4
O3 0.000 0.500 0.000 x4
O4 0.000 0.500 0.133 x8

## Properties
Energy with MP2020 corrections   -8.455 eV per atom
Energy   -273.7 eV/cell
M_tot   0.000 μB per atom
Formation enthalpy at 0 K   -3415 meV/atom

Entry from Materials Project: crystalline LiAg at its relaxed geometry (PBE).

Cell: 3.192 3.192 3.192 Å, 90.00 90.00 90.00°
Space group Pm-3m (No. 221)
Asymmetric unit:
Li1 0.000 0.000 0.000 x1
Ag1 0.500 0.500 0.500 x1

## Properties
Energy   -5.2 eV/cell
Formation enthalpy at 0 K   -222 meV/atom

Entry from Materials Project: crystalline Li2P2PdO7 at its relaxed geometry (PBE).

Cell: 7.043 13.130 6.533 Å, 90.00 90.00 90.00°
Space group Imma (No. 74)
Asymmetric unit:
Li1 0.250 0.022 0.250 x8
P1 0.000 0.140 0.580 x8
Pd1 0.250 0.250 0.250 x4
O1 0.000 0.055 0.737 x8
O2 0.000 0.250 0.694 x4
O3 0.185 0.135 0.449 x16

## Properties
Energy with MP2020 corrections   -6.915 eV per atom
Energy   -312.7 eV/cell
M_tot   0.000 μB per atom
Formation enthalpy at 0 K   -2376 meV/atom